# Fe15Co

Fe15Co after structural relaxation (meta-GGA r2SCAN, the Materials Project database).

Properties
The magnetic moment is 42.1 Bohr magnetons per cell. The formation energy comes out at -0.025 eV/atom.

Cell: 5.726 5.726 5.726 Å, 90.00 90.00 90.00°
Fractional positions:
Fe 0.000 0.000 0.000
Fe 0.000 0.000 0.500
Fe 0.000 0.500 0.000
Fe 0.000 0.500 0.500
Fe 0.252 0.252 0.252
Fe 0.252 0.252 0.748
Fe 0.252 0.748 0.252
Fe 0.252 0.748 0.748
Fe 0.500 0.000 0.000
Fe 0.500 0.000 0.500
Fe 0.500 0.500 0.000
Fe 0.748 0.252 0.252
Fe 0.748 0.252 0.748
Fe 0.748 0.748 0.252
Fe 0.748 0.748 0.748
Co 0.500 0.500 0.500

# Ga3Fe4Co8Si

Ga3Fe4Co8Si after structural relaxation (meta-GGA r2SCAN, the Materials Project database).

Properties
The magnetic moment is 21.1 Bohr magnetons per cell. The formation energy comes out at -0.317 eV/atom.

Cell: 13.248 13.248 13.248 Å, 17.34 17.34 17.34°
Fractional positions:
Ga 0.000 0.000 0.000
Ga 0.250 0.250 0.250
Ga 0.750 0.750 0.750
Fe 0.125 0.125 0.125
Fe 0.375 0.375 0.375
Fe 0.625 0.625 0.625
Fe 0.875 0.875 0.875
Co 0.063 0.063 0.063
Co 0.186 0.186 0.186
Co 0.312 0.312 0.312
Co 0.440 0.440 0.440
Co 0.560 0.560 0.560
Co 0.688 0.688 0.688
Co 0.814 0.814 0.814
Co 0.937 0.937 0.937
Si 0.500 0.500 0.500

Repeat the first record exactly.
# Fe15Co

Fe15Co after structural relaxation (meta-GGA r2SCAN, the Materials Project database).

Properties
The magnetic moment is 42.1 Bohr magnetons per cell. The formation energy comes out at -0.025 eV/atom.

Cell: 5.726 5.726 5.726 Å, 90.00 90.00 90.00°
Fractional positions:
Fe 0.000 0.000 0.000
Fe 0.000 0.000 0.500
Fe 0.000 0.500 0.000
Fe 0.000 0.500 0.500
Fe 0.252 0.252 0.252
Fe 0.252 0.252 0.748
Fe 0.252 0.748 0.252
Fe 0.252 0.748 0.748
Fe 0.500 0.000 0.000
Fe 0.500 0.000 0.500
Fe 0.500 0.500 0.000
Fe 0.748 0.252 0.252
Fe 0.748 0.252 0.748
Fe 0.748 0.748 0.252
Fe 0.748 0.748 0.748
Co 0.500 0.500 0.500